1.
This record from the Materials Project describes a relaxed structure of LiTm2In. The functional is r²SCAN.

Lattice parameters (Å, degrees): 5.1812 5.1812 5.1812 60.00 60.00 60.00
Closest atoms and distances in Å follow each position.
Fractional coordinates of all 4 atoms:
Li: 0.5000 0.5000 0.5000  8 Tm 3.17
Tm: 0.7500 0.7500 0.7500  4 In 3.17, 4 Li 3.17
Tm: 0.2500 0.2500 0.2500  4 In 3.17, 4 Li 3.17
In: 0.0000 0.0000 0.0000  8 Tm 3.17

Calculated values
- total moment (μB/f.u.) = 0.0
- energy of formation from the pure elements (eV per atom) = -0.332
- E_tot (eV/atom) = -24.13
- volume (Å³/atom) = 24.59

=====

2.
This record from the Materials Project describes a relaxed structure of LuIn2. The functional is r²SCAN.

Lattice parameters (Å, degrees): 4.5457 4.5505 7.3501 90.00 108.01 90.00
Closest atoms and distances in Å follow each position.
Fractional coordinates of all 6 atoms:
In: 0.0000 0.0000 0.0000  4 Lu 3.15, 8 In 3.22-3.35
In: 0.3242 0.0000 0.6483  6 In 3.08-3.35, 6 Lu 3.23-3.28
In: 0.6758 0.0000 0.3517  6 In 3.08-3.35, 6 Lu 3.23-3.28
In: 0.5000 0.5000 0.0000  4 Lu 3.15, 8 In 3.22-3.35
Lu: 0.8445 0.5000 0.6890  10 In 3.15-3.28, 2 Lu 3.49
Lu: 0.1555 0.5000 0.3110  10 In 3.15-3.28, 2 Lu 3.49

Calculated values
- total moment (μB/f.u.) = 0.0
- energy of formation from the pure elements (eV per atom) = -0.487
- E_tot (eV/atom) = -28.23
- volume (Å³/atom) = 24.10

=====

3.
This record from the Materials Project describes a relaxed structure of Lu5In4. The functional is r²SCAN.

Lattice parameters (Å, degrees): 6.5069 9.0390 9.0390 120.00 90.00 90.00
Closest atoms and distances in Å follow each position.
Fractional coordinates of all 18 atoms:
Lu: 0.2500 0.2894 0.2894  7 In 3.05-3.34
Lu: 0.2500 0.0000 0.7106  7 In 3.05-3.34
Lu: 0.0000 0.3333 0.6667  8 Lu 3.25-3.62, 6 In 3.28
Lu: 0.2500 0.7106 0.0000  7 In 3.05-3.34
Lu: 0.7500 0.0000 0.2894  7 In 3.05-3.34
Lu: 0.5000 0.3333 0.6667  8 Lu 3.25-3.62, 6 In 3.28
Lu: 0.7500 0.2894 0.0000  7 In 3.05-3.34
Lu: 0.0000 0.6667 0.3333  8 Lu 3.25-3.62, 6 In 3.28
Lu: 0.7500 0.7106 0.7106  7 In 3.05-3.34
Lu: 0.5000 0.6667 0.3333  8 Lu 3.25-3.62, 6 In 3.28
In: 0.5000 0.0000 0.0000  6 Lu 3.08, 2 In 3.25
In: 0.7500 0.0000 0.6269  9 Lu 3.05-3.34
In: 0.0000 0.0000 0.0000  6 Lu 3.08, 2 In 3.25
In: 0.2500 0.6269 0.6269  9 Lu 3.05-3.34
In: 0.2500 0.3731 0.0000  9 Lu 3.05-3.34
In: 0.7500 0.3731 0.3731  9 Lu 3.05-3.34
In: 0.7500 0.6269 0.0000  9 Lu 3.05-3.34
In: 0.2500 0.0000 0.3731  9 Lu 3.05-3.34

Calculated values
- total moment (μB/f.u.) = 0.0
- energy of formation from the pure elements (eV per atom) = -0.510
- E_tot (eV/atom) = -31.70
- volume (Å³/atom) = 25.58

=====

4.
This record from the Materials Project describes a relaxed structure of Lu2In. The functional is r²SCAN.

Lattice parameters (Å, degrees): 5.2422 5.2422 6.5619 90.00 90.00 120.00
Closest atoms and distances in Å follow each position.
Fractional coordinates of all 6 atoms:
Lu: 0.3333 0.6667 0.7500  5 In 3.03-3.28
Lu: 0.0000 0.0000 0.0000  8 Lu 3.28-3.44, 6 In 3.44
Lu: 0.6667 0.3333 0.2500  5 In 3.03-3.28
Lu: 0.0000 0.0000 0.5000  8 Lu 3.28-3.44, 6 In 3.44
In: 0.6667 0.3333 0.7500  5 Lu 3.03-3.28
In: 0.3333 0.6667 0.2500  5 Lu 3.03-3.28

Calculated values
- total moment (μB/f.u.) = 0.0
- energy of formation from the pure elements (eV per atom) = -0.441
- E_tot (eV/atom) = -33.35
- volume (Å³/atom) = 26.03

=====

5.
This record from the Materials Project describes a relaxed structure of Lu2MgIn. The functional is r²SCAN.

Lattice parameters (Å, degrees): 5.1813 5.1813 5.1813 60.00 60.00 60.00
Closest atoms and distances in Å follow each position.
Fractional coordinates of all 4 atoms:
Mg: 0.7500 0.7500 0.7500  8 Lu 3.17
In: 0.2500 0.2500 0.2500  8 Lu 3.17
Lu: 0.5000 0.5000 0.5000  4 In 3.17, 4 Mg 3.17
Lu: 0.0000 0.0000 0.0000  4 In 3.17, 4 Mg 3.17

Calculated values
- total moment (μB/f.u.) = 0.0
- energy of formation from the pure elements (eV per atom) = -0.329
- E_tot (eV/atom) = -26.06
- volume (Å³/atom) = 24.59

=====

6.
This record from the Materials Project describes a relaxed structure of LuMgIn. The functional is r²SCAN.

Lattice parameters (Å, degrees): 7.3769 7.3769 4.5997 90.00 90.00 120.00
Closest atoms and distances in Å follow each position.
Fractional coordinates of all 9 atoms:
In: 0.0000 0.0000 0.0000  6 Mg 2.91, 3 Lu 3.23
In: 0.3333 0.6667 0.5000  3 Mg 2.85, 6 Lu 3.17
In: 0.6667 0.3333 0.5000  3 Mg 2.85, 6 Lu 3.17
Lu: 0.5623 0.0000 0.0000  5 In 3.17-3.23, 2 Mg 3.30
Lu: 0.4377 0.4377 0.0000  5 In 3.17-3.23, 2 Mg 3.30
Lu: 0.0000 0.5623 0.0000  5 In 3.17-3.23, 2 Mg 3.30
Mg: 0.7576 0.7576 0.5000  4 In 2.85-2.91, 2 Mg 3.10
Mg: 0.0000 0.2424 0.5000  4 In 2.85-2.91, 2 Mg 3.10
Mg: 0.2424 0.0000 0.5000  4 In 2.85-2.91, 2 Mg 3.10

Calculated values
- total moment (μB/f.u.) = 0.0
- energy of formation from the pure elements (eV per atom) = -0.432
- E_tot (eV/atom) = -22.04
- volume (Å³/atom) = 24.09

=====

7.
This record from the Materials Project describes a relaxed structure of Lu2InNi2. The functional is r²SCAN.

Lattice parameters (Å, degrees): 3.5332 3.8289 7.2518 105.31 90.00 90.00
Closest atoms and distances in Å follow each position.
Fractional coordinates of all 5 atoms:
Ni: 0.0000 0.8016 0.6031  2 Ni 2.40
Ni: 0.0000 0.1984 0.3969  2 Ni 2.40
Lu: 0.5000 0.6399 0.2798  6 Ni 2.73-2.87
Lu: 0.5000 0.3601 0.7202  6 Ni 2.73-2.87
In: 0.0000 0.0000 0.0000  2 Ni 2.78

Calculated values
- total moment (μB/f.u.) = 0.0
- energy of formation from the pure elements (eV per atom) = -0.589
- E_tot (eV/atom) = -25.13
- volume (Å³/atom) = 18.92

=====

8.
This record from the Materials Project describes a relaxed structure of LuInPd2. The functional is r²SCAN.

Lattice parameters (Å, degrees): 4.7070 4.7070 4.7070 60.00 60.00 60.00
Closest atoms and distances in Å follow each position.
Fractional coordinates of all 4 atoms:
Pd: 0.2500 0.2500 0.2500  4 In 2.88, 4 Lu 2.88
Pd: 0.7500 0.7500 0.7500  4 In 2.88, 4 Lu 2.88
Lu: 0.5000 0.5000 0.5000  8 Pd 2.88
In: 0.0000 0.0000 0.0000  8 Pd 2.88

Calculated values
- total moment (μB/f.u.) = 0.0
- energy of formation from the pure elements (eV per atom) = -0.920
- E_tot (eV/atom) = -27.56
- volume (Å³/atom) = 18.44

=====

9.
This record from the Materials Project describes a relaxed structure of LuInPd. The functional is r²SCAN.

Lattice parameters (Å, degrees): 7.6226 7.6226 3.7094 90.00 90.00 120.00
Closest atoms and distances in Å follow each position.
Fractional coordinates of all 9 atoms:
In: 0.7363 0.0000 0.0000  4 Pd 2.73-2.84
In: 0.2637 0.2637 0.0000  4 Pd 2.73-2.84
In: 0.0000 0.7363 0.0000  4 Pd 2.73-2.84
Pd: 0.0000 0.0000 0.5000  6 In 2.73
Pd: 0.6667 0.3333 0.0000  3 In 2.84, 6 Lu 2.97
Pd: 0.3333 0.6667 0.0000  3 In 2.84, 6 Lu 2.97
Lu: 0.0000 0.4060 0.5000  5 Pd 2.97-3.09, 6 In 3.13-3.29
Lu: 0.5940 0.5940 0.5000  5 Pd 2.97-3.09, 6 In 3.13-3.29
Lu: 0.4060 0.0000 0.5000  5 Pd 2.97-3.09, 6 In 3.13-3.29

Calculated values
- total moment (μB/f.u.) = 0.0
- energy of formation from the pure elements (eV per atom) = -0.891
- E_tot (eV/atom) = -28.76
- volume (Å³/atom) = 20.74

=====

10.
This record from the Materials Project describes a relaxed structure of Lu5In4Pt2. The functional is r²SCAN.

Lattice parameters (Å, degrees): 3.5766 7.8892 17.8268 90.00 90.00 90.00
Closest atoms and distances in Å follow each position.
Fractional coordinates of all 22 atoms:
Lu: 0.0000 0.6150 0.0847  2 Pt 2.76
Lu: 0.0000 0.8850 0.5847  2 Pt 2.76
Lu: 0.0000 0.7450 0.2789  4 Pt 2.88-2.89
Lu: 0.0000 0.7550 0.7789  4 Pt 2.88-2.89
Lu: 0.0000 0.5000 0.5000  8 In 3.14-3.24, 2 Lu 3.39
Lu: 0.0000 0.0000 0.0000  8 In 3.14-3.24, 2 Lu 3.39
Lu: 0.0000 0.2450 0.2211  4 Pt 2.88-2.89
Lu: 0.0000 0.1150 0.4153  2 Pt 2.76
Lu: 0.0000 0.3850 0.9153  2 Pt 2.76
Lu: 0.0000 0.2550 0.7211  4 Pt 2.88-2.89
In: 0.5000 0.7903 0.4337  1 Pt 2.98, 8 Lu 3.14-3.32, 1 In 3.23
In: 0.5000 0.0749 0.8524  2 Pt 2.90-3.25, 1 In 3.23, 4 Lu 3.23-3.24
In: 0.5000 0.2097 0.5663  1 Pt 2.98, 8 Lu 3.14-3.32, 1 In 3.23
In: 0.5000 0.2903 0.0663  1 Pt 2.98, 8 Lu 3.14-3.32, 1 In 3.23
In: 0.5000 0.4251 0.3524  2 Pt 2.90-3.25, 1 In 3.23, 4 Lu 3.23-3.24
In: 0.5000 0.5749 0.6476  2 Pt 2.90-3.25, 1 In 3.23, 4 Lu 3.23-3.24
In: 0.5000 0.9251 0.1476  2 Pt 2.90-3.25, 1 In 3.23, 4 Lu 3.23-3.24
In: 0.5000 0.7097 0.9337  1 Pt 2.98, 8 Lu 3.14-3.32, 1 In 3.23
Pt: 0.5000 0.5280 0.1961  6 Lu 2.76-2.89, 2 In 2.90-2.98
Pt: 0.5000 0.9720 0.6961  6 Lu 2.76-2.89, 2 In 2.90-2.98
Pt: 0.5000 0.0280 0.3039  6 Lu 2.76-2.89, 2 In 2.90-2.98
Pt: 0.5000 0.4720 0.8039  6 Lu 2.76-2.89, 2 In 2.90-2.98

Calculated values
- total moment (μB/f.u.) = 0.0
- energy of formation from the pure elements (eV per atom) = -0.947
- E_tot (eV/atom) = -35.83
- volume (Å³/atom) = 22.86

=====

11.
This record from the Materials Project describes a relaxed structure of TbLuIn2. The functional is r²SCAN.

Lattice parameters (Å, degrees): 5.2527 5.2527 5.2527 60.00 60.00 60.00
Closest atoms and distances in Å follow each position.
Fractional coordinates of all 4 atoms:
In: 0.2500 0.2500 0.2500  4 Lu 3.22, 4 Tb 3.22
In: 0.7500 0.7500 0.7500  4 Tb 3.22, 4 Lu 3.22
Lu: 0.5000 0.5000 0.5000  8 In 3.22
Tb: 0.0000 0.0000 0.0000  8 In 3.22

Calculated values
- total moment (μB/f.u.) = 0.0
- energy of formation from the pure elements (eV per atom) = -0.554
- E_tot (eV/atom) = -29.17
- volume (Å³/atom) = 25.62

=====

12.
This record from the Materials Project describes a relaxed structure of Lu2TlIn. The functional is r²SCAN.

Lattice parameters (Å, degrees): 5.2152 5.2152 5.2152 60.00 60.00 60.00
Closest atoms and distances in Å follow each position.
Fractional coordinates of all 4 atoms:
Tl: 0.0000 0.0000 0.0000  8 Lu 3.19
In: 0.5000 0.5000 0.5000  8 Lu 3.19
Lu: 0.7500 0.7500 0.7500  4 In 3.19, 4 Tl 3.19
Lu: 0.2500 0.2500 0.2500  4 Tl 3.19, 4 In 3.19

Calculated values
- total moment (μB/f.u.) = 0.0
- energy of formation from the pure elements (eV per atom) = -0.417
- E_tot (eV/atom) = -38.40
- volume (Å³/atom) = 25.08

=====

13.
This record from the Materials Project describes a relaxed structure of TmLuIn2. The functional is r²SCAN.

Lattice parameters (Å, degrees): 5.2071 5.2084 5.2098 59.97 59.98 59.99
Closest atoms and distances in Å follow each position.
Fractional coordinates of all 4 atoms:
In: 0.5000 0.5000 0.5000  4 Lu 3.19, 4 Tm 3.19
In: 0.0000 0.0000 0.0000  4 Tm 3.19, 4 Lu 3.19
Tm: 0.7500 0.7500 0.7500  8 In 3.19
Lu: 0.2500 0.2500 0.2500  8 In 3.19

Calculated values
- total moment (μB/f.u.) = 0.0
- energy of formation from the pure elements (eV per atom) = -0.523
- E_tot (eV/atom) = -30.11
- volume (Å³/atom) = 24.97

=====

14.
This record from the Materials Project describes a relaxed structure of YLuIn2. The functional is r²SCAN.

Lattice parameters (Å, degrees): 5.2521 5.2521 5.2521 60.00 60.00 60.00
Closest atoms and distances in Å follow each position.
Fractional coordinates of all 4 atoms:
Y: 0.7500 0.7500 0.7500  8 In 3.22
In: 0.5000 0.5000 0.5000  4 Y 3.22, 4 Lu 3.22
In: 0.0000 0.0000 0.0000  4 Lu 3.22, 4 Y 3.22
Lu: 0.2500 0.2500 0.2500  8 In 3.22

Calculated values
- total moment (μB/f.u.) = 0.0
- energy of formation from the pure elements (eV per atom) = -0.549
- E_tot (eV/atom) = -26.44
- volume (Å³/atom) = 25.61